1.
Crystalline CeLuAl4 at its relaxed geometry. Source: the Materials Project database, functional PBE.

a b c (Å): 5.5602 5.5602 5.5602
angles (deg): 60.00 60.00 60.00
Atoms (fractional coordinates):
Ce1 0.0000 0.0000 0.0000
Lu1 0.2500 0.2500 0.2500
Al1 0.1241 0.6253 0.6253
Al2 0.6253 0.1241 0.6253
Al3 0.6253 0.6253 0.1241
Al4 0.6253 0.6253 0.6253

***

2.
Crystalline CeMg14Al at its relaxed geometry. Source: the Materials Project database, functional PBE.

a b c (Å): 10.3373 6.5127 6.5127
angles (deg): 59.03 90.00 90.00
Atoms (fractional coordinates):
Ce1 0.0000 0.0000 0.0000
Mg1 0.0000 0.0115 0.4930
Mg2 0.0000 0.4930 0.0115
Mg3 0.2348 0.6580 0.6580
Mg4 0.2544 0.1657 0.6561
Mg5 0.2544 0.6561 0.1657
Mg6 0.2596 0.1635 0.1635
Mg7 0.5000 0.4978 0.4978
Mg8 0.5000 0.4992 0.9923
Mg9 0.5000 0.9923 0.4992
Mg10 0.5000 0.9955 0.9955
Mg11 0.7404 0.1635 0.1635
Mg12 0.7456 0.1657 0.6561
Mg13 0.7456 0.6561 0.1657
Mg14 0.7652 0.6580 0.6580
Al1 0.0000 0.4834 0.4834

Output
The energy above the most stable polymorph in this dataset is 0 meV per atom.

***

3.
Crystalline CeMg14Al at its relaxed geometry. Source: the Materials Project database, functional PBE.

a b c (Å): 6.4331 6.4331 10.3207
angles (deg): 90.00 90.00 120.00
Atoms (fractional coordinates):
Ce1 0.0000 0.0000 0.0000
Mg1 0.0143 0.5071 0.0000
Mg2 0.1662 0.3324 0.2595
Mg3 0.1662 0.3324 0.7405
Mg4 0.1662 0.8338 0.2595
Mg5 0.1662 0.8338 0.7405
Mg6 0.4929 0.5071 0.0000
Mg7 0.4929 0.9857 0.0000
Mg8 0.5026 0.0052 0.5000
Mg9 0.5026 0.4974 0.5000
Mg10 0.6667 0.3333 0.2385
Mg11 0.6667 0.3333 0.7615
Mg12 0.6676 0.8338 0.2595
Mg13 0.6676 0.8338 0.7405
Mg14 0.9948 0.4974 0.5000
Al1 0.0000 0.0000 0.5000

Output
The energy above the most stable polymorph in this dataset is 28 meV per atom.

***

4.
Crystalline Ce2Mn7Al10 at its relaxed geometry. Source: the Materials Project database, functional PBE.

a b c (Å): 6.6965 6.6965 6.6997
angles (deg): 97.06 97.06 83.48
Atoms (fractional coordinates):
Ce1 0.0000 0.0000 0.0000
Ce2 0.6954 0.6954 0.2993
Mn1 0.0043 0.0043 0.5134
Mn2 0.0066 0.4870 0.9975
Mn3 0.3390 0.8522 0.6621
Mn4 0.3409 0.3409 0.1537
Mn5 0.4870 0.0066 0.9975
Mn6 0.6849 0.6849 0.8175
Mn7 0.8522 0.3390 0.6621
Al1 0.0302 0.6529 0.6683
Al2 0.0463 0.3399 0.3588
Al3 0.1881 0.6895 0.3135
Al4 0.2354 0.2354 0.7666
Al5 0.3399 0.0463 0.3588
Al6 0.3452 0.6461 0.9530
Al7 0.4620 0.4620 0.5518
Al8 0.6461 0.3452 0.9530
Al9 0.6529 0.0302 0.6683
Al10 0.6895 0.1881 0.3135

***

5.
Crystalline Ce2Al41Mo3 at its relaxed geometry. Source: the Materials Project database, functional PBE.

a b c (Å): 10.3223 10.3223 10.3223
angles (deg): 60.26 60.26 60.26
Atoms (fractional coordinates):
Ce1 0.1251 0.1251 0.1251
Ce2 0.8749 0.8749 0.8749
Al1 0.0000 0.0000 0.0000
Al2 0.0000 0.0000 0.5000
Al3 0.0000 0.5000 0.0000
Al4 0.0564 0.3251 0.3251
Al5 0.0571 0.3250 0.7934
Al6 0.0571 0.7934 0.3250
Al7 0.2071 0.6748 0.6748
Al8 0.2066 0.6750 0.9429
Al9 0.2066 0.9429 0.6750
Al10 0.2377 0.2377 0.5127
Al11 0.2377 0.5127 0.2377
Al12 0.2387 0.5121 0.5121
Al13 0.3251 0.0564 0.3251
Al14 0.3250 0.0571 0.7934
Al15 0.3251 0.3251 0.0564
Al16 0.3252 0.3252 0.7929
Al17 0.3250 0.7934 0.0571
Al18 0.3252 0.7929 0.3252
Al19 0.4873 0.7623 0.7623
Al20 0.4879 0.4879 0.7613
Al21 0.4879 0.7613 0.4879
Al22 0.5000 0.0000 0.0000
Al23 0.5000 0.5000 0.5000
Al24 0.5121 0.2387 0.5121
Al25 0.5121 0.5121 0.2387
Al26 0.5127 0.2377 0.2377
Al27 0.6748 0.2071 0.6748
Al28 0.6750 0.2066 0.9429
Al29 0.6748 0.6748 0.2071
Al30 0.6749 0.6749 0.9436
Al31 0.6750 0.9429 0.2066
Al32 0.6749 0.9436 0.6749
Al33 0.7613 0.4879 0.4879
Al34 0.7623 0.4873 0.7623
Al35 0.7623 0.7623 0.4873
Al36 0.7934 0.0571 0.3250
Al37 0.7934 0.3250 0.0571
Al38 0.7929 0.3252 0.3252
Al39 0.9429 0.2066 0.6750
Al40 0.9429 0.6750 0.2066
Al41 0.9436 0.6749 0.6749
Mo1 0.0000 0.5000 0.5000
Mo2 0.5000 0.0000 0.5000
Mo3 0.5000 0.5000 0.0000

***

6.
Crystalline Ce2AlNO3 at its relaxed geometry. Source: the Materials Project database, functional PBE.

a b c (Å): 6.7549 6.7549 6.7549
angles (deg): 147.81 147.81 46.17
Atoms (fractional coordinates):
Ce1 0.0000 0.0000 0.0000
Ce2 0.2940 0.2940 0.0000
Al1 0.6421 0.6421 0.0000
N1 0.4784 0.4784 0.0000
O1 0.1514 0.6514 0.5000
O2 0.6514 0.1514 0.5000
O3 0.8117 0.8117 0.0000

***

Record order is preserved below.
Calculated formation energy: -0.43; 0.02; 0.04; -0.30; -0.16; -2.99 eV per atom
Record order is preserved below.
Calculated density: 5.779; 2.241; 2.278; 5.271; 3.554; 7.033 g/cm3